# Rb4SbO4 GGA-PBE relaxed
# Calculated total energy   -160.356 eV per cell
# Energy of formation from the pure elements   -1666 meV/atom
data_Rb4SbO4
_symmetry_space_group_name_H-M 'P 1 21/c 1'
_symmetry_Int_Tables_number 14
_cell_length_a 11.5313
_cell_length_b 7.1843
_cell_length_c 11.6734
_cell_angle_alpha 90.00
_cell_angle_beta 111.41
_cell_angle_gamma 90.00
loop_
_symmetry_equiv_pos_as_xyz
'x,y,z'
'-x,-y,-z'
'-x,y+1/2,-z+1/2'
'x,-y+1/2,z+1/2'
loop_
_atom_site_label
_atom_site_type_symbol
_atom_site_fract_x
_atom_site_fract_y
_atom_site_fract_z
Rb1 Rb 0.0659 0.0835 0.2024
Rb2 Rb 0.1556 0.6132 0.0770
Rb3 Rb 0.3751 0.6729 0.8928
Rb4 Rb 0.4176 0.1832 0.7860
Sb1 Sb 0.2421 0.1181 0.9877
O1 O 0.0835 0.2318 0.9761
O2 O 0.2087 0.5124 0.3267
O3 O 0.3155 0.5382 0.6420
O4 O 0.3550 0.1666 0.5020